[1]
A relaxed Mn12O5F19 crystal, computed with GGA+U.

a b c (Å): 4.881 5.853 15.960
angles (deg): 88.65 89.69 88.94
Space group P1 (No. 1)
Symmetry-distinct sites (fractional):
1 Mn 0.000 0.000 0.000 (multiplicity 1)
2 Mn 0.001 0.015 0.678 (multiplicity 1)
3 Mn 0.455 0.843 0.840 (multiplicity 1)
4 Mn 0.475 0.530 0.004 (multiplicity 1)
5 Mn 0.486 0.527 0.340 (multiplicity 1)
6 Mn 0.496 0.528 0.664 (multiplicity 1)
7 Mn 0.509 0.830 0.499 (multiplicity 1)
8 Mn 0.514 0.868 0.177 (multiplicity 1)
9 Mn 0.958 0.004 0.340 (multiplicity 1)
10 Mn 0.963 0.353 0.509 (multiplicity 1)
11 Mn 0.981 0.324 0.174 (multiplicity 1)
12 Mn 0.997 0.327 0.836 (multiplicity 1)
13 O 0.202 0.054 0.788 (multiplicity 1)
14 O 0.269 0.786 0.944 (multiplicity 1)
15 O 0.690 0.786 0.392 (multiplicity 1)
16 O 0.699 0.582 0.558 (multiplicity 1)
17 O 0.782 0.082 0.231 (multiplicity 1)
18 F 0.205 0.049 0.449 (multiplicity 1)
19 F 0.214 0.296 0.950 (multiplicity 1)
20 F 0.216 0.295 0.615 (multiplicity 1)
21 F 0.219 0.073 0.113 (multiplicity 1)
22 F 0.222 0.294 0.288 (multiplicity 1)
23 F 0.235 0.559 0.445 (multiplicity 1)
24 F 0.242 0.557 0.120 (multiplicity 1)
25 F 0.249 0.789 0.279 (multiplicity 1)
26 F 0.252 0.556 0.770 (multiplicity 1)
27 F 0.265 0.806 0.607 (multiplicity 1)
28 F 0.687 0.807 0.733 (multiplicity 1)
29 F 0.714 0.572 0.885 (multiplicity 1)
30 F 0.718 0.783 0.062 (multiplicity 1)
31 F 0.719 0.565 0.227 (multiplicity 1)
32 F 0.741 0.284 0.399 (multiplicity 1)
33 F 0.745 0.074 0.896 (multiplicity 1)
34 F 0.750 0.289 0.059 (multiplicity 1)
35 F 0.757 0.301 0.725 (multiplicity 1)
36 F 0.759 0.070 0.567 (multiplicity 1)

Results
The energy of formation from the pure elements comes out at -2.65 eV/atom. The polymorph energy (0 for the lowest one) is 7 meV/atom. The calculation puts the total energy at -0.4786 Ry per atom.



[2]
A relaxed Mn3O4F2 crystal, computed with GGA+U.

a b c (Å): 4.626 5.557 7.660
angles (deg): 86.05 88.97 87.94
Space group P1 (No. 1)
Symmetry-distinct sites (fractional):
1 Mn 0.000 0.000 0.000 (multiplicity 1)
2 Mn 0.004 0.351 0.692 (multiplicity 1)
3 Mn 0.472 0.825 0.659 (multiplicity 1)
4 Mn 0.498 0.508 0.010 (multiplicity 1)
5 Mn 0.519 0.163 0.337 (multiplicity 1)
6 Mn 0.984 0.676 0.333 (multiplicity 1)
7 O 0.185 0.706 0.107 (multiplicity 1)
8 O 0.201 0.050 0.774 (multiplicity 1)
9 O 0.301 0.539 0.779 (multiplicity 1)
10 O 0.306 0.879 0.435 (multiplicity 1)
11 O 0.692 0.462 0.239 (multiplicity 1)
12 O 0.805 0.962 0.229 (multiplicity 1)
13 O 0.806 0.302 0.909 (multiplicity 1)
14 O 0.806 0.636 0.571 (multiplicity 1)
15 F 0.197 0.372 0.445 (multiplicity 1)
16 F 0.297 0.203 0.111 (multiplicity 1)
17 F 0.686 0.811 0.887 (multiplicity 1)
18 F 0.708 0.142 0.579 (multiplicity 1)

Results
The energy of formation from the pure elements comes out at -2.11 eV/atom. The polymorph energy (0 for the lowest one) is 38 meV/atom. The calculation puts the total energy at -0.5016 Ry per atom.



[3]
A relaxed Mn6O7F5 crystal, computed with GGA+U.

a b c (Å): 4.725 5.613 7.725
angles (deg): 84.83 86.08 85.84
Space group P1 (No. 1)
Symmetry-distinct sites (fractional):
1 Mn 0.000 0.000 0.000 (multiplicity 1)
2 Mn 0.005 0.661 0.351 (multiplicity 1)
3 Mn 0.502 0.500 0.013 (multiplicity 1)
4 Mn 0.534 0.846 0.688 (multiplicity 1)
5 Mn 0.542 0.184 0.341 (multiplicity 1)
6 Mn 0.974 0.342 0.679 (multiplicity 1)
7 O 0.318 0.462 0.246 (multiplicity 1)
8 O 0.323 0.808 0.912 (multiplicity 1)
9 O 0.699 0.877 0.449 (multiplicity 1)
10 O 0.708 0.206 0.107 (multiplicity 1)
11 O 0.710 0.542 0.788 (multiplicity 1)
12 O 0.820 0.057 0.772 (multiplicity 1)
13 O 0.825 0.383 0.462 (multiplicity 1)
14 F 0.184 0.953 0.241 (multiplicity 1)
15 F 0.196 0.306 0.891 (multiplicity 1)
16 F 0.205 0.626 0.595 (multiplicity 1)
17 F 0.308 0.147 0.574 (multiplicity 1)
18 F 0.816 0.702 0.112 (multiplicity 1)

Results
The energy of formation from the pure elements comes out at -2.23 eV/atom. The polymorph energy (0 for the lowest one) is 11 meV/atom. The calculation puts the total energy at -0.4991 Ry per atom. The value obtained for the maximum piezoelectric response is 2.219 C/m2.



[4]
A relaxed Mn6O7F5 crystal, computed with GGA+U.

a b c (Å): 4.622 5.591 7.777
angles (deg): 87.21 89.77 89.04
Space group P1 (No. 1)
Symmetry-distinct sites (fractional):
1 Mn 0.000 0.000 0.000 (multiplicity 1)
2 Mn 0.010 0.683 0.362 (multiplicity 1)
3 Mn 0.025 0.333 0.692 (multiplicity 1)
4 Mn 0.520 0.832 0.681 (multiplicity 1)
5 Mn 0.539 0.150 0.338 (multiplicity 1)
6 Mn 0.572 0.506 0.027 (multiplicity 1)
7 O 0.208 0.038 0.782 (multiplicity 1)
8 O 0.342 0.864 0.447 (multiplicity 1)
9 O 0.720 0.800 0.908 (multiplicity 1)
10 O 0.725 0.457 0.253 (multiplicity 1)
11 O 0.824 0.294 0.919 (multiplicity 1)
12 O 0.835 0.962 0.230 (multiplicity 1)
13 O 0.842 0.620 0.591 (multiplicity 1)
14 F 0.231 0.701 0.112 (multiplicity 1)
15 F 0.239 0.357 0.453 (multiplicity 1)
16 F 0.313 0.200 0.105 (multiplicity 1)
17 F 0.336 0.521 0.802 (multiplicity 1)
18 F 0.735 0.137 0.579 (multiplicity 1)

Results
The energy of formation from the pure elements comes out at -2.21 eV/atom. The polymorph energy (0 for the lowest one) is 31 meV/atom. The calculation puts the total energy at -0.4976 Ry per atom.



[5]
A relaxed Mn6OF11 crystal, computed with GGA+U.

a b c (Å): 5.261 5.285 15.765
angles (deg): 90.00 92.81 90.00
Space group P2 (No. 3)
Symmetry-distinct sites (fractional):
1 Mn 0.000 0.000 0.000 (multiplicity 1)
2 Mn 0.000 0.451 0.500 (multiplicity 1)
3 Mn 0.005 0.937 0.668 (multiplicity 2)
4 Mn 0.025 0.444 0.840 (multiplicity 2)
5 Mn 0.485 0.938 0.167 (multiplicity 2)
6 Mn 0.494 0.426 0.332 (multiplicity 2)
7 Mn 0.500 0.412 0.000 (multiplicity 1)
8 Mn 0.500 0.947 0.500 (multiplicity 1)
9 O 0.216 0.212 0.939 (multiplicity 2)
10 F 0.154 0.768 0.091 (multiplicity 2)
11 F 0.216 0.718 0.761 (multiplicity 2)
12 F 0.222 0.172 0.260 (multiplicity 2)
13 F 0.230 0.723 0.421 (multiplicity 2)
14 F 0.232 0.177 0.592 (multiplicity 2)
15 F 0.269 0.677 0.589 (multiplicity 2)
16 F 0.274 0.228 0.428 (multiplicity 2)
17 F 0.281 0.219 0.762 (multiplicity 2)
18 F 0.283 0.673 0.249 (multiplicity 2)
19 F 0.304 0.268 0.106 (multiplicity 2)
20 F 0.345 0.685 0.927 (multiplicity 2)

Results
The energy of formation from the pure elements comes out at -2.78 eV/atom. The polymorph energy (0 for the lowest one) is 68 meV/atom. The calculation puts the total energy at -0.4707 Ry per atom.



[6]
A relaxed Mn6O7F5 crystal, computed with GGA+U.

a b c (Å): 4.599 5.640 15.308
angles (deg): 90.02 90.03 91.12
Space group P1 (No. 1)
Symmetry-distinct sites (fractional):
1 Mn 0.000 0.000 0.000 (multiplicity 1)
2 Mn 0.001 0.003 0.329 (multiplicity 1)
3 Mn 0.030 0.313 0.832 (multiplicity 1)
4 Mn 0.468 0.816 0.821 (multiplicity 1)
5 Mn 0.471 0.817 0.158 (multiplicity 1)
6 Mn 0.473 0.530 0.321 (multiplicity 1)
7 Mn 0.475 0.515 0.662 (multiplicity 1)
8 Mn 0.476 0.532 0.989 (multiplicity 1)
9 Mn 0.501 0.788 0.487 (multiplicity 1)
10 Mn 0.973 0.321 0.168 (multiplicity 1)
11 Mn 0.979 0.014 0.666 (multiplicity 1)
12 Mn 0.995 0.348 0.501 (multiplicity 1)
13 O 0.189 0.056 0.110 (multiplicity 1)
14 O 0.194 0.283 0.611 (multiplicity 1)
15 O 0.203 0.282 0.274 (multiplicity 1)
16 O 0.210 0.055 0.774 (multiplicity 1)
17 O 0.219 0.280 0.940 (multiplicity 1)
18 O 0.255 0.773 0.267 (multiplicity 1)
19 O 0.258 0.551 0.770 (multiplicity 1)
20 O 0.266 0.562 0.430 (multiplicity 1)
21 O 0.269 0.774 0.930 (multiplicity 1)
22 O 0.693 0.790 0.715 (multiplicity 1)
23 O 0.694 0.550 0.215 (multiplicity 1)
24 O 0.697 0.787 0.051 (multiplicity 1)
25 O 0.698 0.548 0.552 (multiplicity 1)
26 O 0.718 0.774 0.381 (multiplicity 1)
27 F 0.215 0.556 0.100 (multiplicity 1)
28 F 0.228 0.058 0.445 (multiplicity 1)
29 F 0.234 0.786 0.591 (multiplicity 1)
30 F 0.727 0.055 0.222 (multiplicity 1)
31 F 0.729 0.298 0.053 (multiplicity 1)
32 F 0.739 0.036 0.549 (multiplicity 1)
33 F 0.746 0.284 0.385 (multiplicity 1)
34 F 0.747 0.548 0.879 (multiplicity 1)
35 F 0.755 0.044 0.887 (multiplicity 1)
36 F 0.756 0.288 0.732 (multiplicity 1)

Results
The energy of formation from the pure elements comes out at -2.20 eV/atom. The polymorph energy (0 for the lowest one) is 38 meV/atom. The calculation puts the total energy at -0.4970 Ry per atom.



[7]
A relaxed Mn6O7F5 crystal, computed with GGA+U.

a b c (Å): 4.559 5.638 15.331
angles (deg): 89.79 89.74 89.86
Space group P1 (No. 1)
Symmetry-distinct sites (fractional):
1 Mn 0.000 0.000 0.000 (multiplicity 1)
2 Mn 0.000 0.007 0.333 (multiplicity 1)
3 Mn 0.001 0.308 0.834 (multiplicity 1)
4 Mn 0.016 0.322 0.503 (multiplicity 1)
5 Mn 0.028 0.316 0.168 (multiplicity 1)
6 Mn 0.053 0.008 0.669 (multiplicity 1)
7 Mn 0.489 0.512 0.682 (multiplicity 1)
8 Mn 0.492 0.791 0.512 (multiplicity 1)
9 Mn 0.494 0.502 0.344 (multiplicity 1)
10 Mn 0.500 0.804 0.844 (multiplicity 1)
11 Mn 0.501 0.793 0.185 (multiplicity 1)
12 Mn 0.509 0.507 0.015 (multiplicity 1)
13 O 0.212 0.042 0.891 (multiplicity 1)
14 O 0.212 0.264 0.392 (multiplicity 1)
15 O 0.219 0.272 0.058 (multiplicity 1)
16 O 0.234 0.044 0.226 (multiplicity 1)
17 O 0.235 0.045 0.561 (multiplicity 1)
18 O 0.241 0.272 0.728 (multiplicity 1)
19 O 0.280 0.550 0.236 (multiplicity 1)
20 O 0.284 0.553 0.574 (multiplicity 1)
21 O 0.285 0.766 0.735 (multiplicity 1)
22 O 0.712 0.773 0.955 (multiplicity 1)
23 O 0.716 0.535 0.452 (multiplicity 1)
24 O 0.719 0.776 0.288 (multiplicity 1)
25 O 0.721 0.535 0.787 (multiplicity 1)
26 O 0.731 0.545 0.122 (multiplicity 1)
27 F 0.232 0.765 0.402 (multiplicity 1)
28 F 0.247 0.539 0.911 (multiplicity 1)
29 F 0.257 0.776 0.078 (multiplicity 1)
30 F 0.745 0.027 0.448 (multiplicity 1)
31 F 0.745 0.270 0.939 (multiplicity 1)
32 F 0.752 0.030 0.114 (multiplicity 1)
33 F 0.762 0.772 0.624 (multiplicity 1)
34 F 0.768 0.285 0.616 (multiplicity 1)
35 F 0.770 0.279 0.273 (multiplicity 1)
36 F 0.778 0.032 0.769 (multiplicity 1)

Results
The energy of formation from the pure elements comes out at -2.21 eV/atom. The polymorph energy (0 for the lowest one) is 37 meV/atom. The calculation puts the total energy at -0.4971 Ry per atom.



[8]
A relaxed Mn3O4F2 crystal, computed with GGA+U.

a b c (Å): 6.531 19.551 3.083
angles (deg): 90.00 90.00 90.00
Space group Cmmm (No. 65)
Symmetry-distinct sites (fractional):
1 Mn 0.000 0.000 0.000 (multiplicity 2)
2 Mn 0.000 0.159 0.500 (multiplicity 4)
3 Mn 0.000 0.340 0.000 (multiplicity 4)
4 Mn 0.000 0.500 0.500 (multiplicity 2)
5 O 0.000 0.063 0.500 (multiplicity 4)
6 O 0.000 0.401 0.500 (multiplicity 4)
7 O 0.192 0.166 0.000 (multiplicity 8)
8 F 0.000 0.267 0.500 (multiplicity 4)
9 F 0.193 0.500 0.000 (multiplicity 4)

Results
The energy of formation from the pure elements comes out at -2.10 eV/atom. The polymorph energy (0 for the lowest one) is 44 meV/atom. The calculation puts the total energy at -0.5011 Ry per atom.